# PaPbAu2 | the Materials Project | meta-GGA r2SCAN | optimized geometry
# Crystal system = cubic
data_PaPbAu2
_cell_length_a 7.160
_cell_length_b 7.160
_cell_length_c 7.160
_cell_angle_alpha 90.00
_cell_angle_beta 90.00
_cell_angle_gamma 90.00
_symmetry_space_group_name_H-M 'F m -3 m'
_symmetry_Int_Tables_number 225
_symmetry_space_group_name_Hall '-F 4 2 3'
loop_
_atom_site_label
_atom_site_fract_x
_atom_site_fract_y
_atom_site_fract_z
_atom_site_occupancy
Pa1 0.000 0.000 0.000 1
Pb1 0.000 0.000 0.500 1
Au1 0.250 0.250 0.250 1

---

# PaSnAu2 | the Materials Project | meta-GGA r2SCAN | optimized geometry
# Crystal system = cubic
data_PaSnAu2
_cell_length_a 7.035
_cell_length_b 7.035
_cell_length_c 7.035
_cell_angle_alpha 90.00
_cell_angle_beta 90.00
_cell_angle_gamma 90.00
_symmetry_space_group_name_H-M 'F m -3 m'
_symmetry_Int_Tables_number 225
_symmetry_space_group_name_Hall '-F 4 2 3'
loop_
_atom_site_label
_atom_site_fract_x
_atom_site_fract_y
_atom_site_fract_z
_atom_site_occupancy
Pa1 0.000 0.000 0.000 1
Sn1 0.000 0.000 0.500 1
Au1 0.250 0.250 0.250 1

---

# SmPbAu2 | the Materials Project | meta-GGA r2SCAN | optimized geometry
# Crystal system = cubic
data_SmPbAu2
_cell_length_a 7.176
_cell_length_b 7.176
_cell_length_c 7.176
_cell_angle_alpha 90.00
_cell_angle_beta 90.00
_cell_angle_gamma 90.00
_symmetry_space_group_name_H-M 'F m -3 m'
_symmetry_Int_Tables_number 225
_symmetry_space_group_name_Hall '-F 4 2 3'
loop_
_atom_site_label
_atom_site_fract_x
_atom_site_fract_y
_atom_site_fract_z
_atom_site_occupancy
Sm1 0.000 0.000 0.000 1
Pb1 0.000 0.000 0.500 1
Au1 0.250 0.250 0.250 1

---

# ThPbAu2 | the Materials Project | meta-GGA r2SCAN | optimized geometry
# Crystal system = cubic
data_ThPbAu2
_cell_length_a 7.254
_cell_length_b 7.254
_cell_length_c 7.254
_cell_angle_alpha 90.00
_cell_angle_beta 90.00
_cell_angle_gamma 90.00
_symmetry_space_group_name_H-M 'F m -3 m'
_symmetry_Int_Tables_number 225
_symmetry_space_group_name_Hall '-F 4 2 3'
loop_
_atom_site_label
_atom_site_fract_x
_atom_site_fract_y
_atom_site_fract_z
_atom_site_occupancy
Th1 0.000 0.000 0.000 1
Pb1 0.000 0.000 0.500 1
Au1 0.250 0.250 0.250 1

---

# ThPbAu2 | the Materials Project | meta-GGA r2SCAN | optimized geometry
# Crystal system = tetragonal
data_ThPbAu2
_cell_length_a 5.213
_cell_length_b 5.213
_cell_length_c 7.025
_cell_angle_alpha 90.00
_cell_angle_beta 90.00
_cell_angle_gamma 90.00
_symmetry_space_group_name_H-M 'I 4/m m m'
_symmetry_Int_Tables_number 139
_symmetry_space_group_name_Hall '-I 4 2'
loop_
_atom_site_label
_atom_site_fract_x
_atom_site_fract_y
_atom_site_fract_z
_atom_site_occupancy
Th1 0.000 0.000 0.000 1
Pb1 0.000 0.000 0.500 1
Au1 0.000 0.500 0.250 1

---

# YbPbAu2 | the Materials Project | meta-GGA r2SCAN | optimized geometry
# Crystal system = cubic
data_YbPbAu2
_cell_length_a 7.030
_cell_length_b 7.030
_cell_length_c 7.030
_cell_angle_alpha 90.00
_cell_angle_beta 90.00
_cell_angle_gamma 90.00
_symmetry_space_group_name_H-M 'F m -3 m'
_symmetry_Int_Tables_number 225
_symmetry_space_group_name_Hall '-F 4 2 3'
loop_
_atom_site_label
_atom_site_fract_x
_atom_site_fract_y
_atom_site_fract_z
_atom_site_occupancy
Yb1 0.000 0.000 0.000 1
Pb1 0.000 0.000 0.500 1
Au1 0.250 0.250 0.250 1

---

# Pm2PdAu | the Materials Project | meta-GGA r2SCAN | optimized geometry
# Crystal system = cubic
data_Pm2PdAu
_cell_length_a 7.255
_cell_length_b 7.255
_cell_length_c 7.255
_cell_angle_alpha 90.00
_cell_angle_beta 90.00
_cell_angle_gamma 90.00
_symmetry_space_group_name_H-M 'F m -3 m'
_symmetry_Int_Tables_number 225
_symmetry_space_group_name_Hall '-F 4 2 3'
loop_
_atom_site_label
_atom_site_fract_x
_atom_site_fract_y
_atom_site_fract_z
_atom_site_occupancy
Pm1 0.250 0.250 0.250 1
Pd1 0.000 0.000 0.000 1
Au1 0.000 0.000 0.500 1

---

# Sn2PdAu | the Materials Project | meta-GGA r2SCAN | optimized geometry
# Crystal system = trigonal
data_Sn2PdAu
_cell_length_a 4.1630
_cell_length_b 4.1630
_cell_length_c 5.6983
_cell_angle_alpha 90.00
_cell_angle_beta 90.00
_cell_angle_gamma 120.00
_symmetry_space_group_name_H-M 'P -3 m 1'
_symmetry_Int_Tables_number 164
_symmetry_space_group_name_Hall '-P 3 2"'
loop_
_atom_site_label
_atom_site_fract_x
_atom_site_fract_y
_atom_site_fract_z
_atom_site_occupancy
Sn1 0.3333 0.6667 0.2355 1
Pd1 0.0000 0.0000 0.0000 1
Au1 0.0000 0.0000 0.5000 1

---

We obtain ΔH_f (0 K) values of -0.331 -0.429 -0.669 -0.599 -0.601 -0.602 -0.829 -0.331 eV/atom for the records listed above, in that order.
We obtain M_tot values of 0.2359 0.1436 0.0000 0.0000 0.0000 0.0000 0.0000 0.0000 μB per atom for the records listed above, in that order.